Entry 1
PbCSBr2N2 PBE relaxed; total magnetization = 4.00 Bohr magnetons per cell
1.0
4.4113 0.0000 0.0000
0.0000 17.9854 0.0000
-0.5184 0.0000 5.6584
Pb C S Br N
2 2 2 4 4
Direct
0.0865 0.0000 0.3966
0.9135 0.5000 0.6034
0.4575 0.7888 0.0582
0.5425 0.2888 0.9418
0.1624 0.3029 0.5255
0.8376 0.8029 0.4745
0.0752 0.4715 0.1017
0.4074 0.6038 0.6263
0.5926 0.1038 0.3737
0.9248 0.9715 0.8983
0.2882 0.7885 0.8810
0.3647 0.2873 0.7564
0.6353 0.7873 0.2436
0.7118 0.2885 0.1190



Entry 2
PbCSBr2N2 PBE relaxed; total magnetization = 4.01 Bohr magnetons per cell
1.0
4.0048 0.0000 0.0000
0.0000 17.2785 0.0000
-0.9652 0.0000 6.6618
Pb C S Br N
2 2 2 4 4
Direct
0.1129 0.0000 0.3651
0.8871 0.5000 0.6349
0.4816 0.2658 0.9555
0.5184 0.7658 0.0445
0.3337 0.4170 0.4043
0.6663 0.9170 0.5957
0.1817 0.4814 0.1199
0.3734 0.6216 0.5828
0.6266 0.1216 0.4172
0.8183 0.9814 0.8801
0.2769 0.2331 0.8290
0.3110 0.7998 0.9204
0.6890 0.2998 0.0796
0.7231 0.7331 0.1710



Most stable one: entry 1, least stable one: entry 2.



Entry 1
Ca2CdBr6O12 PBE relaxed; total magnetization = 8.00 Bohr magnetons per cell
1.0
6.8678 -4.6412 0.0000
6.8678 4.6412 0.0000
-5.3093 0.0000 13.7872
Ca Cd Br O
4 2 12 24
Direct
0.1236 0.6343 0.9668
0.3657 0.8764 0.5332
0.6343 0.1236 0.4668
0.8764 0.3657 0.0332
0.0000 0.5000 0.5000
0.5000 0.0000 0.0000
0.0308 0.2729 0.6385
0.1301 0.1739 0.3797
0.1739 0.1301 0.8797
0.2729 0.0308 0.1385
0.3403 0.4666 0.6144
0.4666 0.3403 0.1144
0.5334 0.6597 0.8856
0.6597 0.5334 0.3856
0.7271 0.9692 0.8615
0.8261 0.8698 0.1203
0.8698 0.8261 0.6203
0.9692 0.7271 0.3615
0.0584 0.3572 0.9313
0.1048 0.8572 0.4168
0.1433 0.2484 0.1308
0.1428 0.8952 0.0832
0.2484 0.1433 0.6308
0.2941 0.6856 0.5962
0.3100 0.5001 0.3568
0.3144 0.7059 0.9038
0.3365 0.3742 0.8542
0.3572 0.0584 0.4313
0.3742 0.3365 0.3542
0.5001 0.3100 0.8568
0.4999 0.6900 0.1432
0.6258 0.6635 0.6458
0.6428 0.9416 0.5687
0.6635 0.6258 0.1458
0.6856 0.2941 0.0962
0.6900 0.4999 0.6432
0.7059 0.3144 0.4038
0.7516 0.8567 0.3692
0.8572 0.1048 0.9168
0.8567 0.7516 0.8692
0.8952 0.1428 0.5832
0.9416 0.6428 0.0687



Entry 2
Ca2CdBr6O12 PBE relaxed; total magnetization = 8.00 Bohr magnetons per cell
1.0
7.3407 -4.7085 0.0000
7.3407 4.7085 0.0000
-7.1958 0.0000 14.9091
Ca Cd Br O
4 2 12 24
Direct
0.1147 0.1554 0.0178
0.1554 0.1147 0.5178
0.8446 0.8853 0.4822
0.8853 0.8446 0.9822
0.5000 0.5000 0.0000
0.5000 0.5000 0.5000
0.1188 0.4085 0.8647
0.2329 0.7389 0.6271
0.2346 0.7104 0.3798
0.2611 0.7671 0.8729
0.2896 0.7654 0.1202
0.4085 0.1188 0.3647
0.5915 0.8812 0.6353
0.7104 0.2346 0.8798
0.7389 0.2329 0.1271
0.7654 0.2896 0.6202
0.7671 0.2611 0.3729
0.8812 0.5915 0.1353
0.0165 0.4142 0.3665
0.0505 0.3954 0.1313
0.0604 0.8836 0.4281
0.0642 0.4290 0.6077
0.1053 0.2898 0.9234
0.1164 0.9396 0.0719
0.2898 0.1053 0.4234
0.3590 0.5120 0.5846
0.3954 0.0505 0.6313
0.4142 0.0165 0.8665
0.4290 0.0642 0.1077
0.4880 0.6410 0.9154
0.5120 0.3590 0.0846
0.5710 0.9358 0.8923
0.5858 0.9835 0.1335
0.6046 0.9495 0.3687
0.6410 0.4880 0.4154
0.7102 0.8947 0.5766
0.8836 0.0604 0.9281
0.8947 0.7102 0.0766
0.9358 0.5710 0.3923
0.9396 0.1164 0.5719
0.9495 0.6046 0.8687
0.9835 0.5858 0.6335



Most stable one: entry 2, least stable one: entry 1.



Entry 1
CaHgH16Br4O8 PBE relaxed; total magnetization = 0.00 Bohr magnetons per cell
1.0
9.1563 -6.3452 0.0000
9.1563 6.3452 0.0000
0.0000 0.0000 13.9929
Ca Hg H Br O
4 4 64 16 32
Direct
0.2475 0.2475 0.0000
0.2525 0.2525 0.5000
0.7475 0.7475 0.5000
0.7525 0.7525 0.0000
0.2427 0.7573 0.6960
0.2573 0.7427 0.1960
0.7427 0.2573 0.8040
0.7573 0.2427 0.3040
0.0007 0.2018 0.4588
0.0098 0.3581 0.8811
0.0268 0.7344 0.4395
0.0322 0.2115 0.1284
0.0532 0.5733 0.0267
0.0733 0.5532 0.5267
0.0755 0.1197 0.9079
0.1114 0.2588 0.2988
0.1197 0.0755 0.0921
0.1297 0.2231 0.6973
0.1419 0.4902 0.6189
0.2018 0.0007 0.5412
0.2115 0.0322 0.8716
0.2231 0.1297 0.3027
0.2344 0.5268 0.9395
0.2412 0.3886 0.2012
0.2588 0.1114 0.7012
0.2656 0.9732 0.4395
0.2769 0.3703 0.8027
0.2885 0.4678 0.3716
0.2982 0.4993 0.0412
0.3581 0.0098 0.1189
0.3703 0.2769 0.1973
0.3803 0.4245 0.5921
0.3886 0.2412 0.7988
0.4245 0.3803 0.4079
0.4267 0.9468 0.0267
0.4468 0.9267 0.5267
0.4678 0.2885 0.6284
0.4732 0.7656 0.9395
0.4902 0.1419 0.3811
0.4993 0.2982 0.9588
0.5007 0.7018 0.0412
0.5098 0.8581 0.6189
0.5268 0.2344 0.0605
0.5322 0.7115 0.3716
0.5532 0.0733 0.4733
0.5733 0.0532 0.9733
0.5755 0.6197 0.5921
0.6114 0.7588 0.2012
0.6197 0.5755 0.4079
0.6297 0.7231 0.8027
0.6419 0.9902 0.8811
0.7018 0.5007 0.9588
0.7115 0.5322 0.6284
0.7231 0.6297 0.1973
0.7344 0.0268 0.5605
0.7412 0.8886 0.2988
0.7588 0.6114 0.7988
0.7656 0.4732 0.0605
0.7769 0.8703 0.6973
0.7885 0.9678 0.1284
0.7982 0.9993 0.4588
0.8581 0.5098 0.3811
0.8703 0.7769 0.3027
0.8803 0.9245 0.9079
0.8886 0.7412 0.7012
0.9245 0.8803 0.0921
0.9267 0.4468 0.4733
0.9468 0.4267 0.9733
0.9678 0.7885 0.8716
0.9732 0.2656 0.5605
0.9902 0.6419 0.1189
0.9993 0.7982 0.5412
0.0374 0.9626 0.6529
0.1037 0.6317 0.2790
0.1317 0.6037 0.7790
0.1369 0.8631 0.0421
0.3631 0.6369 0.5421
0.3683 0.8963 0.2790
0.3963 0.8683 0.7790
0.4626 0.5374 0.1529
0.5374 0.4626 0.8471
0.6037 0.1317 0.2210
0.6317 0.1037 0.7210
0.6369 0.3631 0.4579
0.8631 0.1369 0.9579
0.8683 0.3963 0.2210
0.8963 0.3683 0.7210
0.9626 0.0374 0.3471
0.0139 0.2694 0.4989
0.0312 0.3787 0.9453
0.1206 0.1605 0.1111
0.1213 0.4688 0.5547
0.1605 0.1206 0.8889
0.1846 0.2102 0.3383
0.2102 0.1846 0.6617
0.2306 0.4861 0.0011
0.2694 0.0139 0.5011
0.2898 0.3154 0.1617
0.3154 0.2898 0.8383
0.3395 0.3794 0.3889
0.3787 0.0312 0.0547
0.3794 0.3395 0.6111
0.4688 0.1213 0.4453
0.4861 0.2306 0.9989
0.5139 0.7693 0.0011
0.5312 0.8787 0.5547
0.6206 0.6605 0.3889
0.6213 0.9688 0.9453
0.6605 0.6206 0.6111
0.6846 0.7102 0.1617
0.7102 0.6846 0.8383
0.7306 0.9861 0.4989
0.7693 0.5139 0.9989
0.7898 0.8154 0.3383
0.8154 0.7898 0.6617
0.8395 0.8794 0.1111
0.8787 0.5312 0.4453
0.8794 0.8395 0.8889
0.9688 0.6213 0.0547
0.9861 0.7306 0.5011



Entry 2
CaHgH16Br4O8 PBE relaxed; total magnetization = 0.12 Bohr magnetons per cell
1.0
8.1281 -6.7541 0.0000
8.1281 6.7541 0.0000
0.0000 0.0000 15.0904
Ca Hg H Br O
4 4 64 16 32
Direct
0.2490 0.2490 0.0000
0.2510 0.2510 0.5000
0.7490 0.7490 0.5000
0.7510 0.7510 0.0000
0.2230 0.7770 0.7192
0.2770 0.7230 0.2192
0.7230 0.2770 0.7808
0.7770 0.2230 0.2808
0.0051 0.3507 0.8926
0.0226 0.2063 0.1351
0.0278 0.6125 0.0108
0.0395 0.7417 0.4454
0.0473 0.7978 0.5405
0.0685 0.0910 0.8919
0.0910 0.0685 0.1081
0.1125 0.5278 0.5108
0.1229 0.2262 0.6794
0.1228 0.2456 0.3132
0.1493 0.4949 0.6074
0.2022 0.9527 0.5405
0.2063 0.0226 0.8649
0.2262 0.1229 0.3206
0.2417 0.5395 0.9454
0.2456 0.1228 0.6868
0.2544 0.3772 0.1868
0.2583 0.9605 0.4454
0.2738 0.3771 0.8206
0.2937 0.4774 0.3649
0.2978 0.5473 0.0405
0.3507 0.0051 0.1074
0.3772 0.2544 0.8132
0.3771 0.2738 0.1794
0.3875 0.9722 0.0108
0.4090 0.4315 0.6081
0.4315 0.4090 0.3919
0.4527 0.7022 0.0405
0.4605 0.7583 0.9454
0.4722 0.8875 0.5108
0.4774 0.2937 0.6351
0.4949 0.1493 0.3926
0.5051 0.8507 0.6074
0.5226 0.7063 0.3649
0.5278 0.1125 0.4892
0.5395 0.2417 0.0546
0.5473 0.2978 0.9595
0.5685 0.5910 0.6081
0.5910 0.5685 0.3919
0.6125 0.0278 0.9892
0.6229 0.7262 0.8206
0.6228 0.7456 0.1868
0.6493 0.9949 0.8926
0.7022 0.4527 0.9595
0.7063 0.5226 0.6351
0.7262 0.6229 0.1794
0.7417 0.0395 0.5546
0.7456 0.6228 0.8132
0.7544 0.8772 0.3132
0.7583 0.4605 0.0546
0.7738 0.8771 0.6794
0.7937 0.9774 0.1351
0.7978 0.0473 0.4595
0.8507 0.5051 0.3926
0.8772 0.7544 0.6868
0.8771 0.7738 0.3206
0.8875 0.4722 0.4892
0.9090 0.9315 0.8919
0.9315 0.9090 0.1081
0.9527 0.2022 0.4595
0.9605 0.2583 0.5546
0.9722 0.3875 0.9892
0.9774 0.7937 0.8649
0.9949 0.6493 0.1074
0.0251 0.9749 0.7100
0.0956 0.6217 0.3024
0.1217 0.5956 0.8024
0.1875 0.8125 0.0638
0.3125 0.6875 0.5638
0.3783 0.9044 0.3024
0.4044 0.8783 0.8024
0.4749 0.5251 0.2100
0.5251 0.4749 0.7900
0.5956 0.1217 0.1976
0.6217 0.0956 0.6976
0.6875 0.3125 0.4362
0.8125 0.1875 0.9362
0.8783 0.4044 0.1976
0.9044 0.3783 0.6976
0.9749 0.0251 0.2900
0.0097 0.2388 0.4996
0.0433 0.3744 0.9474
0.0791 0.1591 0.0901
0.1256 0.4567 0.5526
0.1591 0.0791 0.9099
0.2027 0.2106 0.3441
0.2106 0.2027 0.6559
0.2388 0.0097 0.5004
0.2612 0.4903 0.0004
0.2894 0.2973 0.1559
0.2973 0.2894 0.8441
0.3409 0.4209 0.4099
0.3744 0.0433 0.0526
0.4209 0.3409 0.5901
0.4567 0.1256 0.4474
0.4903 0.2612 0.9996
0.5097 0.7388 0.0004
0.5433 0.8744 0.5526
0.5791 0.6591 0.4099
0.6256 0.9567 0.9474
0.6591 0.5791 0.5901
0.7027 0.7106 0.1559
0.7106 0.7027 0.8441
0.7388 0.5097 0.9996
0.7612 0.9903 0.4996
0.7894 0.7973 0.3441
0.7973 0.7894 0.6559
0.8409 0.9209 0.0901
0.8744 0.5433 0.4474
0.9209 0.8409 0.9099
0.9567 0.6256 0.0526
0.9903 0.7612 0.5004



Most stable one: entry 1, least stable one: entry 2.